Record 1
Below is BaLiH3 after structural relaxation, with properties calculated at the r²SCAN level.

Unit cell a=4.0114 b=4.0114 c=4.0114 alpha=90.00 beta=90.00 gamma=90.00
Element x y z (fractional)
1 Ba 0.0000 0.0000 0.0000
2 Li 0.5000 0.5000 0.5000
3 H 0.0000 0.5000 0.5000
4 H 0.5000 0.0000 0.5000
5 H 0.5000 0.5000 0.0000

Computed properties:
energy of formation from the pure elements	-0.604	eV per atom
V	64.5	Å³/cell

---

Record 2
Below is DyHfF7 after structural relaxation, with properties calculated at the r²SCAN level.

Unit cell a=5.9923 b=5.6596 c=8.1516 alpha=90.00 beta=102.50 gamma=90.00
Element x y z (fractional)
1 Dy 0.1558 0.0000 0.1867
2 Dy 0.8442 0.5000 0.8133
3 Hf 0.3117 0.9904 0.7252
4 Hf 0.6883 0.4904 0.2748
5 F 0.0452 0.3077 0.0239
6 F 0.0460 0.2059 0.7113
7 F 0.1188 0.7004 0.7157
8 F 0.2563 0.9997 0.4767
9 F 0.3653 0.9928 0.9747
10 F 0.4298 0.2685 0.2703
11 F 0.4557 0.7474 0.2597
12 F 0.5443 0.2474 0.7403
13 F 0.5702 0.7685 0.7297
14 F 0.6347 0.4928 0.0253
15 F 0.7437 0.4997 0.5233
16 F 0.8812 0.2004 0.2843
17 F 0.9540 0.7059 0.2887
18 F 0.9548 0.8077 0.9761

Computed properties:
energy of formation from the pure elements	-4.271	eV per atom
V	269.9	Å³/cell

---

Record 3
Below is Nb3Ir after structural relaxation, with properties calculated at the r²SCAN level.

Unit cell a=5.1721 b=5.1721 c=5.1721 alpha=90.00 beta=90.00 gamma=90.00
Element x y z (fractional)
1 Nb 0.0000 0.2500 0.5000
2 Nb 0.0000 0.7500 0.5000
3 Nb 0.2500 0.5000 0.0000
4 Nb 0.5000 0.0000 0.2500
5 Nb 0.5000 0.0000 0.7500
6 Nb 0.7500 0.5000 0.0000
7 Ir 0.0000 0.0000 0.0000
8 Ir 0.5000 0.5000 0.5000

Computed properties:
energy of formation from the pure elements	-0.467	eV per atom
V	138.4	Å³/cell

---

Record 4
Below is ScBIr3 after structural relaxation, with properties calculated at the r²SCAN level.

Unit cell a=4.1271 b=4.1271 c=4.1271 alpha=90.00 beta=90.00 gamma=90.00
Element x y z (fractional)
1 Sc 0.0000 0.0000 0.0000
2 B 0.5000 0.5000 0.5000
3 Ir 0.0000 0.5000 0.5000
4 Ir 0.5000 0.0000 0.5000
5 Ir 0.5000 0.5000 0.0000

Computed properties:
energy of formation from the pure elements	-0.705	eV per atom
V	70.3	Å³/cell

---

Record 5
Below is PrHg after structural relaxation, with properties calculated at the r²SCAN level.

Unit cell a=3.8457 b=3.8457 c=3.8457 alpha=90.00 beta=90.00 gamma=90.00
Element x y z (fractional)
1 Pr 0.0000 0.0000 0.0000
2 Hg 0.5000 0.5000 0.5000

Computed properties:
energy of formation from the pure elements	-0.548	eV per atom
V	56.9	Å³/cell

---

Record 6
Below is Yb3Ag after structural relaxation, with properties calculated at the r²SCAN level.

Unit cell a=4.6602 b=4.6602 c=4.6602 alpha=90.00 beta=90.00 gamma=90.00
Element x y z (fractional)
1 Yb 0.0000 0.0000 0.5000
2 Yb 0.0000 0.5000 0.0000
3 Yb 0.5000 0.0000 0.0000
4 Ag 0.5000 0.5000 0.5000

Computed properties:
energy of formation from the pure elements	0.011	eV per atom
V	101.2	Å³/cell

---

Record 7
Below is In2Ni3Se2 after structural relaxation, with properties calculated at the r²SCAN level.

Unit cell a=5.6610 b=5.6610 c=5.6610 alpha=57.20 beta=57.20 gamma=57.20
Element x y z (fractional)
1 In 0.0000 0.0000 0.0000
2 In 0.5000 0.5000 0.5000
3 Ni 0.0000 0.5000 0.5000
4 Ni 0.5000 0.0000 0.5000
5 Ni 0.5000 0.5000 0.0000
6 Se 0.2172 0.2172 0.2172
7 Se 0.7828 0.7828 0.7828

Computed properties:
energy of formation from the pure elements	-0.355	eV per atom
V	120.0	Å³/cell

---

Record 8
Below is ZrAg after structural relaxation, with properties calculated at the r²SCAN level.

Unit cell a=3.4825 b=3.4825 c=6.6014 alpha=90.00 beta=90.00 gamma=90.00
Element x y z (fractional)
1 Zr 0.2500 0.2500 0.1439
2 Zr 0.7500 0.7500 0.8561
3 Ag 0.2500 0.2500 0.6136
4 Ag 0.7500 0.7500 0.3864

Computed properties:
energy of formation from the pure elements	-0.129	eV per atom
V	80.1	Å³/cell

---

Record 9
Below is GdIn after structural relaxation, with properties calculated at the r²SCAN level.

Unit cell a=3.8381 b=3.8381 c=3.7119 alpha=90.00 beta=90.00 gamma=90.00
Element x y z (fractional)
1 Gd 0.0000 0.0000 0.0000
2 In 0.5000 0.5000 0.5000

Computed properties:
energy of formation from the pure elements	-0.567	eV per atom
V	54.7	Å³/cell

---

Record 10
Below is Eu2ZnGe3 after structural relaxation, with properties calculated at the r²SCAN level.

Unit cell a=4.2417 b=4.2417 c=17.8691 alpha=90.00 beta=90.00 gamma=120.00
Element x y z (fractional)
1 Eu 0.0000 0.0000 0.1290
2 Eu 0.0000 0.0000 0.3710
3 Eu 0.0000 0.0000 0.6290
4 Eu 0.0000 0.0000 0.8710
5 Zn 0.3333 0.6667 0.2500
6 Zn 0.6667 0.3333 0.7500
7 Ge 0.3333 0.6667 0.0246
8 Ge 0.3333 0.6667 0.4754
9 Ge 0.3333 0.6667 0.7500
10 Ge 0.6667 0.3333 0.2500
11 Ge 0.6667 0.3333 0.5246
12 Ge 0.6667 0.3333 0.9754

Computed properties:
energy of formation from the pure elements	-0.651	eV per atom
V	278.4	Å³/cell